# 1
KLi7H16N8 | PBE-GGA | relaxed

Total magnetization   0.0 μB per cell
Space-group type   No. 88

Cell lengths 23.1935, 23.1935, 23.1935 Å; angles 161.91, 161.91, 25.69 degrees
Fractional positions:
H 0.8485 0.8118 0.1069
H 0.8427 0.3049 0.5994
H 0.6562 0.0826 0.3096
H 0.3242 0.3391 0.3874
H 0.2730 0.3466 0.1904
H 0.2054 0.2432 0.9006
H 0.5826 0.7730 0.4264
H 0.2164 0.5729 0.0915
H 0.7116 0.0690 0.0955
H 0.5484 0.0632 0.8874
H 0.9298 0.3006 0.1403
H 0.0361 0.5679 0.8743
H 0.1951 0.2946 0.5378
H 0.1936 0.1619 0.6257
H 0.0679 0.6936 0.5318
H 0.7951 0.2584 0.6069
H 0.4310 0.0265 0.6427
H 0.8391 0.9516 0.0149
H 0.6249 0.7164 0.1435
H 0.3438 0.9174 0.6904
H 0.7584 0.6515 0.4633
H 0.9639 0.4321 0.1257
H 0.6619 0.5361 0.9682
H 0.2416 0.3485 0.5367
H 0.8839 0.7884 0.8573
H 0.4516 0.9368 0.1126
H 0.1609 0.0484 0.9851
H 0.5265 0.3839 0.5955
H 0.9814 0.1249 0.4085
H 0.1161 0.2116 0.1427
H 0.0702 0.6994 0.8597
H 0.5632 0.1758 0.5149
H 0.3397 0.2106 0.6403
H 0.1994 0.8397 0.6291
H 0.4735 0.6161 0.4045
H 0.2884 0.9310 0.9045
H 0.9271 0.5186 0.6435
H 0.7270 0.6534 0.8096
H 0.8064 0.8381 0.3743
H 0.7836 0.4271 0.9085
H 0.2894 0.4298 0.1291
H 0.1534 0.8438 0.9264
H 0.6603 0.7894 0.3597
H 0.4174 0.2270 0.5736
H 0.6758 0.6609 0.6126
H 0.3381 0.4639 0.0318
H 0.6882 0.2951 0.0367
H 0.9321 0.3064 0.4682
H 0.0729 0.4814 0.3565
H 0.0186 0.8751 0.5915
H 0.8006 0.1603 0.3709
H 0.4368 0.8242 0.4851
H 0.7106 0.5702 0.8709
H 0.3118 0.7049 0.9633
H 0.8049 0.7054 0.4622
H 0.8466 0.1562 0.0736
H 0.5690 0.9735 0.3573
H 0.2568 0.6573 0.9622
H 0.1515 0.1882 0.8931
H 0.1573 0.6951 0.4006
H 0.7946 0.7568 0.0994
H 0.3751 0.2836 0.8565
H 0.7432 0.3427 0.0378
H 0.2049 0.7416 0.3931
N 0.8859 0.9149 0.4942
N 0.2978 0.8082 0.5175
N 0.6918 0.7094 0.4896
N 0.9207 0.3917 0.0058
N 0.0793 0.6083 0.9942
N 0.9186 0.9245 0.0290
N 0.2130 0.7049 0.0052
N 0.1083 0.6141 0.5290
N 0.6045 0.1104 0.5290
N 0.3082 0.2906 0.5104
N 0.6104 0.5814 0.5059
N 0.3896 0.4186 0.4941
N 0.0814 0.0755 0.9710
N 0.5851 0.5793 0.9710
N 0.7906 0.7802 0.9825
N 0.8004 0.7923 0.5052
N 0.7077 0.7130 0.0081
N 0.8917 0.3859 0.4710
N 0.1996 0.2077 0.4948
N 0.4245 0.8955 0.0059
N 0.3955 0.8896 0.4710
N 0.4149 0.4207 0.0290
N 0.7951 0.3004 0.5081
N 0.5755 0.1045 0.9941
N 0.2802 0.7978 0.9896
N 0.1141 0.0851 0.5058
N 0.2049 0.6996 0.4919
N 0.2923 0.2870 0.9919
N 0.7870 0.2951 0.9948
N 0.7022 0.1918 0.4825
N 0.2094 0.2198 0.0175
N 0.7198 0.2022 0.0104
Li 0.9304 0.6804 0.2500
Li 0.8314 0.5597 0.7499
Li 0.6902 0.9185 0.2499
Li 0.9403 0.1902 0.2717
Li 0.6796 0.4296 0.2500
Li 0.6233 0.3733 0.2500
Li 0.5686 0.8186 0.7500
Li 0.5662 0.3162 0.2500
Li 0.3204 0.5704 0.7500
Li 0.3098 0.0815 0.7501
Li 0.1686 0.4403 0.2501
Li 0.1838 0.9338 0.2500
Li 0.4185 0.6686 0.2283
Li 0.1267 0.8767 0.2500
Li 0.3186 0.0686 0.2500
Li 0.8733 0.1233 0.7500
Li 0.6814 0.9314 0.7500
Li 0.0704 0.8204 0.2500
Li 0.0696 0.3196 0.7500
Li 0.1804 0.4304 0.7500
Li 0.4338 0.6838 0.7500
Li 0.5815 0.3314 0.7717
Li 0.4314 0.1814 0.2500
Li 0.9296 0.1796 0.7500
Li 0.3767 0.6267 0.7500
Li 0.8196 0.5696 0.2500
Li 0.0597 0.8098 0.7283
Li 0.8162 0.0662 0.7500
K 0.0000 0.0000 0.0000
K 0.5000 0.0000 0.5000
K 0.5000 0.5000 0.5000
K 0.5000 0.0000 0.0000

---

# 2
KLi2H3O3 | PBE-GGA | relaxed

Total magnetization   0.0 μB per cell
Relative energy among the computed polymorphs   483.5 meV/atom
Space-group type   No. 11

Cell lengths 5.5285, 5.6777, 7.3670 Å; angles 83.63, 90.00, 90.00 degrees
Fractional positions:
H 0.7500 0.7864 0.1719
H 0.7500 0.2302 0.9844
H 0.2500 0.2136 0.8281
H 0.7500 0.9100 0.1990
H 0.2500 0.0900 0.8010
H 0.2500 0.7698 0.0156
Li 0.9506 0.6090 0.8476
Li 0.0494 0.3910 0.1524
Li 0.4506 0.3910 0.1524
Li 0.5494 0.6090 0.8476
O 0.7500 0.3886 0.0234
O 0.2500 0.3539 0.3722
O 0.2500 0.6114 0.9766
O 0.7500 0.8547 0.7440
O 0.7500 0.6461 0.6278
O 0.2500 0.1453 0.2560
K 0.2500 0.7671 0.4870
K 0.7500 0.2329 0.5130

---

# 3
KLi2H3O3 | PBE-GGA | relaxed

Total magnetization   0.0 μB per cell
Relative energy among the computed polymorphs   506.0 meV/atom
Space-group type   No. 11

Cell lengths 5.7029, 6.1452, 7.4395 Å; angles 75.12, 90.00, 90.00 degrees
Fractional positions:
H 0.7500 0.3876 0.9181
H 0.2500 0.6124 0.0819
H 0.2500 0.2572 0.8393
H 0.2500 0.1547 0.8021
H 0.7500 0.8453 0.1979
H 0.7500 0.7428 0.1607
K 0.2500 0.7346 0.4813
K 0.7500 0.2654 0.5187
Li 0.9560 0.6621 0.8547
Li 0.4560 0.3379 0.1453
Li 0.0440 0.3379 0.1453
Li 0.5440 0.6621 0.8547
O 0.2500 0.3853 0.3458
O 0.7500 0.4218 0.0401
O 0.7500 0.6147 0.6542
O 0.7500 0.8490 0.6902
O 0.2500 0.5782 0.9599
O 0.2500 0.1510 0.3098

---

# 4
KLi2H3O3 | PBE-GGA | relaxed

Total magnetization   0.0 μB per cell
Relative energy among the computed polymorphs   0.0 meV/atom
Space-group type   No. 11

Cell lengths 5.1646, 5.7819, 6.3224 Å; angles 103.14, 90.00, 90.00 degrees
Fractional positions:
Li 0.4952 0.3465 0.8227
Li 0.5048 0.6535 0.1773
Li 0.9952 0.6535 0.1773
Li 0.0048 0.3465 0.8227
H 0.7500 0.3793 0.4656
H 0.2500 0.9810 0.6624
H 0.2500 0.7701 0.8864
H 0.2500 0.6207 0.5344
H 0.7500 0.0190 0.3376
H 0.7500 0.2299 0.1136
O 0.2500 0.6811 0.4036
O 0.2500 0.0833 0.8088
O 0.7500 0.3848 0.0739
O 0.7500 0.9167 0.1912
O 0.7500 0.3189 0.5964
O 0.2500 0.6152 0.9261
K 0.2500 0.1563 0.2556
K 0.7500 0.8437 0.7444

---

Quick rundown of formation energy, same order as above: -1706, -1071, -1052, -1491 kJ/mol of formula units